VASP calculation (PBE) on an optimized crystal structure of Mg4Si7.

a = 4.341 Å, b = 6.934 Å, c = 14.010 Å
α = 87.48°, β = 83.84°, γ = 87.12°
Fractional coordinates of all 22 atoms:
Mg1 0.000 0.000 0.000
Mg2 0.017 0.262 0.177
Mg3 0.077 0.526 0.945
Mg4 0.106 0.168 0.779
Mg5 0.151 0.670 0.711
Mg6 0.583 0.848 0.852
Mg7 0.703 0.682 0.525
Mg8 0.730 0.144 0.449
Si1 0.194 0.351 0.565
Si2 0.201 0.989 0.572
Si3 0.227 0.856 0.414
Si4 0.254 0.881 0.161
Si5 0.267 0.506 0.408
Si6 0.481 0.045 0.282
Si7 0.534 0.710 0.035
Si8 0.535 0.218 0.915
Si9 0.539 0.368 0.067
Si10 0.629 0.475 0.799
Si11 0.663 0.335 0.646
Si12 0.678 0.978 0.664
Si13 0.791 0.471 0.325
Si14 0.873 0.801 0.287

Output
ΔH_f (0 K) in eV/atom: 0.178
Energy above the most stable polymorph in this dataset in eV/atom: 0.032